{"formula": "MoH2O4", "functional": "PBE with a Hubbard U", "state": "optimized geometry", "formation_energy_mev_per_atom": -1617, "de_polymorph_mev_per_atom": 0, "space_group": "No. 2", "lattice": [[-0.200, 2.014, 3.133], [-6.107, 2.344, -0.111], [-5.014, -4.320, 3.891]], "species": ["Mo", "Mo", "H", "H", "H", "H", "O", "O", "O", "O", "O", "O", "O", "O"], "frac_coords": [[0.252, 0.156, 0.796], [0.748, 0.844, 0.204], [0.532, 0.782, 0.671], [0.257, 0.668, 0.840], [0.743, 0.332, 0.160], [0.468, 0.218, 0.329], [0.308, 0.243, 0.551], [0.692, 0.757, 0.449], [0.236, 0.935, 0.126], [0.764, 0.065, 0.874], [0.136, 0.411, 0.828], [0.864, 0.589, 0.172], [0.405, 0.789, 0.793], [0.595, 0.211, 0.207]]}